No. 1
MnAsRh: optimized geometry, PBE-GGA.

M_tot = 0.969 μB per atom
energy of formation from the pure elements = -70.9 kJ/mol of formula units
V = 14.5 Å³/atom
DFT total energy = -7.307 eV per atom
calculated density = 8.89 g/cm3
space-group type = P-62m (189)

a = 6.361 Å, b = 6.361 Å, c = 3.720 Å
α = 90.00°, β = 90.00°, γ = 120.00°
Sites, in units of the cell vectors:
Mn (0.260, 0.260, 0.000)
Mn (0.000, 0.740, 0.000)
Mn (0.740, 0.000, 0.000)
As (0.000, 0.000, 0.500)
As (0.333, 0.667, 0.000)
As (0.667, 0.333, 0.000)
Rh (0.386, 0.000, 0.500)
Rh (0.614, 0.614, 0.500)
Rh (0.000, 0.386, 0.500)

No. 2
MnAsRh: optimized geometry, PBE-GGA.

energy of formation from the pure elements = -100.5 kJ/mol of formula units
V = 14.9 Å³/atom
DFT total energy = -7.409 eV per atom
calculated density = 8.64 g/cm3
space-group type = P-62m (189)

a = 3.660 Å, b = 6.508 Å, c = 6.508 Å
α = 120.00°, β = 90.00°, γ = 90.00°
Sites, in units of the cell vectors:
Mn (0.500, 0.595, 0.595)
Mn (0.500, 0.000, 0.405)
Mn (0.500, 0.405, 0.000)
As (0.500, 0.000, 0.000)
As (0.000, 0.667, 0.333)
As (0.000, 0.333, 0.667)
Rh (0.000, 0.263, 0.263)
Rh (0.000, 0.000, 0.737)
Rh (0.000, 0.737, 0.000)

No. 3
MnAsRh: optimized geometry, PBE-GGA.

M_tot = 1.076 μB per atom
energy of formation from the pure elements = -63.1 kJ/mol of formula units
V = 14.3 Å³/atom
DFT total energy = -7.280 eV per atom
calculated density = 9.03 g/cm3
space-group type = P-62m (189)

a = 6.972 Å, b = 6.972 Å, c = 3.050 Å
α = 90.00°, β = 90.00°, γ = 120.00°
Sites, in units of the cell vectors:
Mn (0.297, 0.297, 0.000)
Mn (0.000, 0.703, 0.000)
Mn (0.703, 0.000, 0.000)
As (0.000, 0.000, 0.500)
As (0.333, 0.667, 0.000)
As (0.667, 0.333, 0.000)
Rh (0.363, 0.000, 0.500)
Rh (0.637, 0.637, 0.500)
Rh (0.000, 0.363, 0.500)

No. 4
MnTl2As2S5: optimized geometry, PBE-GGA.

M_tot = 0.500 μB per atom
energy of formation from the pure elements = -545.5 kJ/mol of formula units
V = 25.9 Å³/atom
DFT total energy = -4.703 eV per atom
calculated density = 4.97 g/cm3
space-group type = Cmce (64)

a = 8.742 Å, b = 8.742 Å, c = 17.079 Å
α = 90.00°, β = 90.00°, γ = 127.61°
Sites, in units of the cell vectors:
Mn (0.103, 0.603, 0.250)
Mn (0.897, 0.397, 0.750)
Mn (0.603, 0.103, 0.250)
Mn (0.397, 0.897, 0.750)
Tl (0.649, 0.351, 0.000)
Tl (0.149, 0.851, 0.500)
Tl (0.912, 0.912, 0.319)
Tl (0.351, 0.649, 0.000)
Tl (0.088, 0.088, 0.681)
Tl (0.851, 0.149, 0.500)
Tl (0.588, 0.588, 0.819)
Tl (0.412, 0.412, 0.181)
As (0.415, 0.649, 0.393)
As (0.351, 0.585, 0.607)
As (0.085, 0.851, 0.893)
As (0.851, 0.085, 0.893)
As (0.585, 0.351, 0.607)
As (0.915, 0.149, 0.107)
As (0.149, 0.915, 0.107)
As (0.649, 0.415, 0.393)
S (0.049, 0.610, 0.104)
S (0.470, 0.745, 0.265)
S (0.255, 0.530, 0.735)
S (0.845, 0.845, 0.120)
S (0.110, 0.549, 0.396)
S (0.755, 0.030, 0.765)
S (0.345, 0.345, 0.380)
S (0.390, 0.951, 0.896)
S (0.610, 0.049, 0.104)
S (0.155, 0.155, 0.880)
S (0.890, 0.451, 0.604)
S (0.970, 0.245, 0.235)
S (0.655, 0.655, 0.620)
S (0.030, 0.755, 0.765)
S (0.745, 0.470, 0.265)
S (0.451, 0.890, 0.604)
S (0.951, 0.390, 0.896)
S (0.549, 0.110, 0.396)
S (0.530, 0.255, 0.735)
S (0.245, 0.970, 0.235)

No. 5
SrMn2As2: optimized geometry, PBE-GGA.

M_tot = 1.177 μB per atom
energy of formation from the pure elements = -216.2 kJ/mol of formula units
V = 21.2 Å³/atom
DFT total energy = -6.315 eV per atom
calculated density = 5.45 g/cm3
space-group type = P-3m1 (164)

a = 4.076 Å, b = 4.076 Å, c = 7.351 Å
α = 90.00°, β = 90.00°, γ = 120.00°
Sites, in units of the cell vectors:
Sr (0.000, 0.000, 0.000)
Mn (0.667, 0.333, 0.388)
Mn (0.333, 0.667, 0.612)
As (0.667, 0.333, 0.718)
As (0.333, 0.667, 0.282)

No. 6
TiMnAs: optimized geometry, PBE-GGA.

M_tot = 0.954 μB per atom
energy of formation from the pure elements = -114.6 kJ/mol of formula units
V = 15.8 Å³/atom
DFT total energy = -7.635 eV per atom
calculated density = 6.23 g/cm3
space-group type = P-62m (189)

a = 3.565 Å, b = 6.785 Å, c = 6.785 Å
α = 120.00°, β = 90.00°, γ = 90.00°
Sites, in units of the cell vectors:
Ti (0.000, 0.000, 0.262)
Ti (0.000, 0.262, 0.000)
Ti (0.000, 0.738, 0.738)
Mn (0.500, 0.000, 0.609)
Mn (0.500, 0.609, 0.000)
Mn (0.500, 0.391, 0.391)
As (0.000, 0.333, 0.667)
As (0.000, 0.667, 0.333)
As (0.500, 0.000, 0.000)

No. 7
TiMnAs: optimized geometry, PBE-GGA.

energy of formation from the pure elements = -189.2 kJ/mol of formula units
V = 13.9 Å³/atom
DFT total energy = -7.893 eV per atom
calculated density = 7.09 g/cm3
space-group type = P-62m (189)

a = 6.400 Å, b = 6.400 Å, c = 3.521 Å
α = 90.00°, β = 90.00°, γ = 120.00°
Sites, in units of the cell vectors:
Ti (0.589, 0.000, 0.000)
Ti (0.000, 0.589, 0.000)
Ti (0.411, 0.411, 0.000)
Mn (0.248, 0.000, 0.500)
Mn (0.000, 0.248, 0.500)
Mn (0.752, 0.752, 0.500)
As (0.333, 0.667, 0.500)
As (0.667, 0.333, 0.500)
As (0.000, 0.000, 0.000)

No. 8
TiMn2VAs4: optimized geometry, PBE-GGA.

M_tot = 0.967 μB per atom
energy of formation from the pure elements = -332.1 kJ/mol of formula units
V = 16.8 Å³/atom
DFT total energy = -7.173 eV per atom
calculated density = 6.30 g/cm3
space-group type = P2/m (10)

a = 3.607 Å, b = 5.809 Å, c = 6.400 Å
α = 89.78°, β = 90.00°, γ = 90.00°
Sites, in units of the cell vectors:
Ti (0.000, 0.500, 0.000)
Mn (0.500, 0.500, 0.500)
Mn (0.000, 0.000, 0.000)
V (0.500, 0.000, 0.500)
As (0.500, 0.759, 0.827)
As (0.000, 0.752, 0.333)
As (0.000, 0.248, 0.667)
As (0.500, 0.241, 0.173)

No. 9
MoAs: optimized geometry, PBE-GGA.

energy of formation from the pure elements = -44.7 kJ/mol of formula units
V = 16.5 Å³/atom
DFT total energy = -7.984 eV per atom
calculated density = 8.59 g/cm3
space-group type = Pnma (62)

a = 3.386 Å, b = 6.047 Å, c = 6.450 Å
α = 90.00°, β = 90.00°, γ = 90.00°
Sites, in units of the cell vectors:
Mo (0.250, 0.514, 0.684)
Mo (0.750, 0.486, 0.316)
Mo (0.250, 0.014, 0.816)
Mo (0.750, 0.986, 0.184)
As (0.250, 0.688, 0.068)
As (0.750, 0.312, 0.932)
As (0.250, 0.188, 0.432)
As (0.750, 0.812, 0.568)

No. 10
Mo2As3P: optimized geometry, PBE-GGA.

M_tot = 0.000 μB per atom
energy of formation from the pure elements = -179.4 kJ/mol of formula units
V = 16.6 Å³/atom
DFT total energy = -7.157 eV per atom
calculated density = 7.47 g/cm3
space-group type = Cm (8)

a = 4.791 Å, b = 4.791 Å, c = 7.762 Å
α = 62.13°, β = 62.13°, γ = 40.05°
Sites, in units of the cell vectors:
Mo (0.846, 0.846, 0.207)
Mo (0.163, 0.163, 0.789)
As (0.600, 0.600, 0.110)
As (0.407, 0.407, 0.891)
As (0.134, 0.134, 0.474)
P (0.850, 0.850, 0.529)

No. 11
Mo2AsP3: optimized geometry, PBE-GGA.

M_tot = 0.000 μB per atom
energy of formation from the pure elements = -256.9 kJ/mol of formula units
V = 15.4 Å³/atom
DFT total energy = -7.542 eV per atom
calculated density = 6.45 g/cm3
space-group type = Cm (8)

a = 5.932 Å, b = 5.932 Å, c = 5.097 Å
α = 89.20°, β = 89.20°, γ = 31.11°
Sites, in units of the cell vectors:
Mo (0.091, 0.091, 0.498)
Mo (0.910, 0.910, 0.008)
As (0.296, 0.296, 0.700)
P (0.700, 0.700, 0.197)
P (0.434, 0.434, 0.373)
P (0.569, 0.569, 0.882)

No. 12
Ti3MoAs4: optimized geometry, PBE-GGA.

M_tot = 0.032 μB per atom
energy of formation from the pure elements = -538.3 kJ/mol of formula units
V = 17.3 Å³/atom
DFT total energy = -7.343 eV per atom
calculated density = 6.47 g/cm3
space-group type = P-3m1 (164)

a = 3.515 Å, b = 3.515 Å, c = 12.931 Å
α = 90.00°, β = 90.00°, γ = 120.00°
Sites, in units of the cell vectors:
Ti (0.000, 0.000, 0.500)
Ti (0.000, 0.000, 0.253)
Ti (0.000, 0.000, 0.747)
Mo (0.000, 0.000, 0.000)
As (0.333, 0.667, 0.874)
As (0.333, 0.667, 0.376)
As (0.667, 0.333, 0.126)
As (0.667, 0.333, 0.624)

No. 13
Zn4As3NO13: optimized geometry, PBE-GGA.

M_tot = 0.052 μB per atom
energy of formation from the pure elements = -2120.6 kJ/mol of formula units
V = 16.5 Å³/atom
DFT total energy = -4.987 eV per atom
calculated density = 3.40 g/cm3
space-group type = I2_13 (199)

a = 12.162 Å, b = 12.162 Å, c = 12.162 Å
α = 109.47°, β = 109.47°, γ = 109.47°
Sites, in units of the cell vectors:
Zn (0.539, 0.772, 0.961)
Zn (0.578, 0.539, 0.311)
Zn (0.267, 0.189, 0.728)
Zn (0.311, 0.578, 0.539)
Zn (0.728, 0.267, 0.189)
Zn (0.961, 0.539, 0.772)
Zn (0.189, 0.728, 0.267)
Zn (0.772, 0.961, 0.539)
Zn (0.539, 0.311, 0.578)
Zn (0.961, 0.922, 0.233)
Zn (0.922, 0.233, 0.961)
Zn (0.233, 0.961, 0.922)
Zn (0.500, 0.000, 0.414)
Zn (0.086, 0.086, 0.086)
Zn (0.000, 0.414, 0.500)
Zn (0.414, 0.500, 0.000)
As (0.226, 0.697, 0.768)
As (0.458, 0.732, 0.429)
As (0.029, 0.071, 0.803)
As (0.429, 0.458, 0.732)
As (0.803, 0.029, 0.071)
As (0.768, 0.226, 0.697)
As (0.071, 0.803, 0.029)
As (0.697, 0.768, 0.226)
As (0.732, 0.429, 0.458)
As (0.274, 0.042, 0.471)
As (0.042, 0.471, 0.274)
As (0.471, 0.274, 0.042)
N (0.500, 0.000, 0.737)
N (0.763, 0.763, 0.763)
N (0.000, 0.737, 0.500)
N (0.737, 0.500, 0.000)
O (0.396, 0.794, 0.862)
O (0.535, 0.638, 0.432)
O (0.102, 0.068, 0.706)
O (0.432, 0.535, 0.638)
O (0.706, 0.102, 0.068)
O (0.862, 0.396, 0.794)
O (0.068, 0.706, 0.102)
O (0.794, 0.862, 0.396)
O (0.638, 0.432, 0.535)
O (0.104, 0.965, 0.398)
O (0.965, 0.398, 0.104)
O (0.398, 0.104, 0.965)
O (0.180, 0.580, 0.606)
O (0.574, 0.894, 0.475)
O (0.100, 0.025, 0.920)
O (0.475, 0.574, 0.894)
O (0.920, 0.100, 0.025)
O (0.606, 0.180, 0.580)
O (0.025, 0.920, 0.100)
O (0.580, 0.606, 0.180)
O (0.894, 0.475, 0.574)
O (0.320, 0.926, 0.400)
O (0.926, 0.400, 0.320)
O (0.400, 0.320, 0.926)
O (0.153, 0.602, 0.829)
O (0.324, 0.671, 0.274)
O (0.051, 0.226, 0.898)
O (0.274, 0.324, 0.671)
O (0.898, 0.051, 0.226)
O (0.829, 0.153, 0.602)
O (0.226, 0.898, 0.051)
O (0.602, 0.829, 0.153)
O (0.671, 0.274, 0.324)
O (0.347, 0.176, 0.449)
O (0.176, 0.449, 0.347)
O (0.449, 0.347, 0.176)
O (0.163, 0.802, 0.750)
O (0.412, 0.750, 0.551)
O (0.861, 0.949, 0.698)
O (0.551, 0.412, 0.750)
O (0.698, 0.861, 0.949)
O (0.750, 0.163, 0.802)
O (0.949, 0.698, 0.861)
O (0.802, 0.750, 0.163)
O (0.750, 0.551, 0.412)
O (0.337, 0.088, 0.639)
O (0.088, 0.639, 0.337)
O (0.639, 0.337, 0.088)
O (0.500, 0.000, 0.255)
O (0.245, 0.245, 0.245)
O (0.000, 0.255, 0.500)
O (0.255, 0.500, 0.000)

No. 14
Sr3AsN: optimized geometry, PBE-GGA.

energy of formation from the pure elements = -453.0 kJ/mol of formula units
V = 26.9 Å³/atom
DFT total energy = -4.480 eV per atom
calculated density = 4.35 g/cm3
space-group type = Pm-3m (221)

a = 5.122 Å, b = 5.122 Å, c = 5.122 Å
α = 90.00°, β = 90.00°, γ = 90.00°
Sites, in units of the cell vectors:
Sr (0.000, 0.500, 0.500)
Sr (0.500, 0.000, 0.500)
Sr (0.500, 0.500, 0.000)
As (0.000, 0.000, 0.000)
N (0.500, 0.500, 0.500)

No. 15
U2AsN2: optimized geometry, PBE-GGA.

energy of formation from the pure elements = -700.8 kJ/mol of formula units
V = 17.1 Å³/atom
DFT total energy = -10.091 eV per atom
calculated density = 11.26 g/cm3
space-group type = P-3m1 (164)

a = 3.823 Å, b = 3.823 Å, c = 6.750 Å
α = 90.00°, β = 90.00°, γ = 120.00°
Sites, in units of the cell vectors:
U (0.667, 0.333, 0.290)
U (0.333, 0.667, 0.710)
As (0.000, 0.000, 0.000)
N (0.333, 0.667, 0.374)
N (0.667, 0.333, 0.626)

No. 16
NaAs2: optimized geometry, PBE-GGA.

M_tot = 0.000 μB per atom
energy of formation from the pure elements = -17.8 kJ/mol of formula units
V = 22.6 Å³/atom
DFT total energy = -3.608 eV per atom
calculated density = 4.23 g/cm3
space-group type = Fd-3m (227)

a = 5.766 Å, b = 5.766 Å, c = 5.766 Å
α = 60.00°, β = 60.00°, γ = 60.00°
Sites, in units of the cell vectors:
Na (0.500, 0.500, 0.500)
Na (0.750, 0.750, 0.750)
As (0.625, 0.125, 0.125)
As (0.125, 0.625, 0.125)
As (0.125, 0.125, 0.625)
As (0.125, 0.125, 0.125)

No. 17
Na5As4: optimized geometry, PBE-GGA.

energy of formation from the pure elements = -339.3 kJ/mol of formula units
V = 24.8 Å³/atom
DFT total energy = -3.196 eV per atom
calculated density = 3.09 g/cm3
space-group type = C2/m (12)

a = 5.748 Å, b = 5.748 Å, c = 9.678 Å
α = 72.01°, β = 72.01°, γ = 47.81°
Sites, in units of the cell vectors:
Na (0.100, 0.100, 0.615)
Na (0.900, 0.900, 0.385)
Na (0.755, 0.755, 0.835)
Na (0.245, 0.245, 0.165)
Na (0.000, 0.000, 0.000)
As (0.456, 0.456, 0.828)
As (0.544, 0.544, 0.172)
As (0.393, 0.393, 0.606)
As (0.607, 0.607, 0.394)

No. 18
NaAs: optimized geometry, PBE-GGA.

energy of formation from the pure elements = -74.5 kJ/mol of formula units
V = 24.9 Å³/atom
DFT total energy = -3.377 eV per atom
calculated density = 3.27 g/cm3
space-group type = P2_12_12_1 (19)

a = 5.991 Å, b = 6.276 Å, c = 10.580 Å
α = 90.00°, β = 90.00°, γ = 90.00°
Sites, in units of the cell vectors:
Na (0.847, 0.341, 0.705)
Na (0.653, 0.659, 0.205)
Na (0.153, 0.841, 0.795)
Na (0.347, 0.159, 0.295)
Na (0.113, 0.601, 0.422)
Na (0.387, 0.399, 0.922)
Na (0.887, 0.101, 0.078)
Na (0.613, 0.899, 0.578)
As (0.615, 0.463, 0.459)
As (0.885, 0.537, 0.959)
As (0.385, 0.963, 0.041)
As (0.115, 0.037, 0.541)
As (0.347, 0.332, 0.627)
As (0.153, 0.668, 0.127)
As (0.653, 0.832, 0.873)
As (0.847, 0.168, 0.373)

No. 19
NaAs: optimized geometry, PBE-GGA.

energy of formation from the pure elements = -74.6 kJ/mol of formula units
V = 24.5 Å³/atom
DFT total energy = -3.378 eV per atom
calculated density = 3.32 g/cm3
space-group type = P2_1/c (14)

a = 5.960 Å, b = 6.303 Å, c = 11.670 Å
α = 63.18°, β = 90.00°, γ = 90.00°
Sites, in units of the cell vectors:
Na (0.390, 0.781, 0.330)
Na (0.890, 0.219, 0.170)
Na (0.610, 0.219, 0.670)
Na (0.110, 0.781, 0.830)
Na (0.663, 0.765, 0.032)
Na (0.163, 0.235, 0.468)
Na (0.337, 0.235, 0.968)
Na (0.837, 0.765, 0.532)
As (0.894, 0.680, 0.289)
As (0.394, 0.320, 0.211)
As (0.106, 0.320, 0.711)
As (0.606, 0.680, 0.789)
As (0.161, 0.687, 0.119)
As (0.661, 0.313, 0.381)
As (0.839, 0.313, 0.881)
As (0.339, 0.687, 0.619)